[1]
# Tl2Mo3P3O17 (GGA+U, optimized geometry)
# ρ: 4.488 g cm⁻³
# MP2020-corrected energy: -772.01 eV per cell
# energy relative to the elements: -2.215 eV/atom
data_Tl2Mo3P3O17
_chemical_formula_sum 'Tl8 Mo12 P12 O68'
_cell_length_a 10.983
_cell_length_b 9.656
_cell_length_c 15.905
_cell_angle_alpha 90.00
_cell_angle_beta 111.35
_cell_angle_gamma 90.00
_space_group_name_H-M_alt 'P 1 21/c 1'
_space_group_IT_number 14
loop_
_space_group_symop_operation_xyz
'x,y,z'
'-x,-y,-z'
'-x,y+1/2,-z+1/2'
'x,-y+1/2,z+1/2'
loop_
_atom_site_label
_atom_site_fract_x
_atom_site_fract_y
_atom_site_fract_z
Tl1 0.099 0.129 0.209
Tl2 0.319 0.125 0.992
Mo1 0.078 0.746 0.096
Mo2 0.252 0.619 0.936
Mo3 0.454 0.116 0.757
P1 0.168 0.097 0.570
P2 0.337 0.677 0.298
P3 0.456 0.101 0.379
O1 0.039 0.245 0.854
O2 0.060 0.209 0.527
O3 0.100 0.581 0.575
O4 0.103 0.610 0.848
O5 0.109 0.530 0.097
O6 0.212 0.713 0.019
O7 0.232 0.061 0.499
O8 0.232 0.739 0.213
O9 0.269 0.172 0.650
O10 0.306 0.713 0.383
O11 0.336 0.009 0.369
O12 0.339 0.517 0.297
O13 0.394 0.235 0.325
O14 0.405 0.568 0.657
O15 0.456 0.529 0.165
O16 0.463 0.640 0.024
O17 0.472 0.737 0.308



[2]
# Tl3Mo4P4O22 (GGA+U, optimized geometry)
# ρ: 4.745 g cm⁻³
# MP2020-corrected energy: -2034.20 eV per cell
# energy relative to the elements: -2.221 eV/atom
# E above lowest polymorph: 0.0 meV per atom
data_Tl3Mo4P4O22
_chemical_formula_sum 'Tl24 Mo32 P32 O176'
_cell_length_a 14.494
_cell_length_b 14.583
_cell_length_c 19.508
_cell_angle_alpha 90.00
_cell_angle_beta 90.00
_cell_angle_gamma 90.00
_space_group_name_H-M_alt 'C 2 2 21'
_space_group_IT_number 20
loop_
_space_group_symop_operation_xyz
'x,y,z'
'-x,-y,z+1/2'
'x,-y,-z'
'-x,y,-z+1/2'
'x+1/2,y+1/2,z'
'-x+1/2,-y+1/2,z+1/2'
'x+1/2,-y+1/2,-z'
'-x+1/2,y+1/2,-z+1/2'
loop_
_atom_site_label
_atom_site_fract_x
_atom_site_fract_y
_atom_site_fract_z
Tl1 0.000 0.209 0.250
Tl2 0.054 0.063 0.629
Tl3 0.063 0.446 0.376
Tl4 0.208 0.500 0.000
Mo1 0.074 0.181 0.065
Mo2 0.175 0.308 0.561
Mo3 0.179 0.425 0.814
Mo4 0.189 0.173 0.811
P1 0.053 0.291 0.920
P2 0.155 0.201 0.410
P3 0.201 0.345 0.160
P4 0.210 0.053 0.170
O1 0.031 0.097 0.013
O2 0.049 0.280 0.606
O3 0.052 0.197 0.386
O4 0.053 0.291 0.000
O5 0.093 0.385 0.897
O6 0.095 0.473 0.763
O7 0.101 0.123 0.763
O8 0.107 0.207 0.894
O9 0.112 0.294 0.137
O10 0.116 0.096 0.146
O11 0.126 0.396 0.513
O12 0.156 0.209 0.491
O13 0.186 0.300 0.785
O14 0.196 0.289 0.378
O15 0.197 0.447 0.135
O16 0.205 0.112 0.390
O17 0.205 0.181 0.036
O18 0.206 0.343 0.239
O19 0.206 0.390 0.642
O20 0.210 0.054 0.249
O21 0.212 0.197 0.627
O22 0.221 0.045 0.858